1.
First-principles (PBE-GGA) data for a geometry-optimized ZnTe6O13 structure, as listed in the Materials Project.

Cell: 8.7988 8.7988 8.7988 Å, 71.84 71.84 71.84°
Atoms (fractional coordinates):
Zn  0.7426  0.7426  0.7426
Zn  0.2574  0.2574  0.2574
Te  0.0121  0.3338  0.9410
Te  0.3338  0.9410  0.0121
Te  0.9879  0.6662  0.0590
Te  0.4692  0.1755  0.5787
Te  0.0590  0.9879  0.6662
Te  0.9410  0.0121  0.3338
Te  0.6662  0.0590  0.9879
Te  0.8245  0.4213  0.5308
Te  0.4213  0.5308  0.8245
Te  0.5787  0.4692  0.1755
Te  0.5308  0.8245  0.4213
Te  0.1755  0.5787  0.4692
O  0.7013  0.6253  0.3857
O  0.6143  0.2987  0.3747
O  0.0875  0.0875  0.0875
O  0.6253  0.3857  0.7013
O  0.6969  0.9470  0.2010
O  0.4558  0.3637  0.1160
O  0.8971  0.9218  0.6027
O  0.3973  0.1029  0.0782
O  0.6363  0.8840  0.5442
O  0.1160  0.4558  0.3637
O  0.9218  0.6027  0.8971
O  0.3857  0.7013  0.6253
O  0.3031  0.0530  0.7990
O  0.5442  0.6363  0.8840
O  0.8840  0.5442  0.6363
O  0.9125  0.9125  0.9125
O  0.3747  0.6143  0.2987
O  0.2987  0.3747  0.6143
O  0.2010  0.6969  0.9470
O  0.3637  0.1160  0.4558
O  0.0782  0.3973  0.1029
O  0.0530  0.7990  0.3031
O  0.6027  0.8971  0.9218
O  0.9470  0.2010  0.6969
O  0.7990  0.3031  0.0530
O  0.1029  0.0782  0.3973

=====

2.
First-principles (PBE-GGA) data for a geometry-optimized ZnTe2O5 structure, as listed in the Materials Project.

Properties
Its total magnetization is 0.00 μB per cell. The energy above the most stable polymorph in this dataset comes out at 10 meV/atom.

Cell: 8.8103 8.8103 12.9312 Å, 90.00 90.00 90.00°
Atoms (fractional coordinates):
Zn  0.5000  0.0000  0.0000
Zn  0.5000  0.0000  0.7500
Zn  0.5000  0.0000  0.2500
Zn  0.5000  0.0000  0.5000
Zn  0.0000  0.5000  0.7500
Zn  0.0000  0.5000  0.0000
Zn  0.0000  0.5000  0.2500
Zn  0.0000  0.5000  0.5000
Te  0.2867  0.3187  0.1339
Te  0.2867  0.6813  0.3661
Te  0.3187  0.7133  0.8661
Te  0.3187  0.2867  0.6339
Te  0.6813  0.2867  0.8661
Te  0.6813  0.7133  0.6339
Te  0.7133  0.3187  0.3661
Te  0.7133  0.6813  0.1339
Te  0.7867  0.8187  0.3661
Te  0.7867  0.1813  0.1339
Te  0.8187  0.7867  0.8661
Te  0.8187  0.2133  0.6339
Te  0.1813  0.7867  0.6339
Te  0.1813  0.2133  0.8661
Te  0.2133  0.8187  0.1339
Te  0.2133  0.1813  0.3661
O  0.2692  0.8752  0.2981
O  0.2692  0.1248  0.2019
O  0.3013  0.1987  0.0000
O  0.3013  0.8013  0.5000
O  0.3587  0.9261  0.8832
O  0.3587  0.0739  0.6168
O  0.3752  0.2308  0.7981
O  0.3752  0.7692  0.7019
O  0.4261  0.8587  0.1168
O  0.4261  0.1413  0.3832
O  0.5739  0.8587  0.3832
O  0.5739  0.1413  0.1168
O  0.6248  0.7692  0.7981
O  0.6248  0.2308  0.7019
O  0.6413  0.0739  0.8832
O  0.6413  0.9261  0.6168
O  0.6987  0.8013  0.0000
O  0.6987  0.1987  0.5000
O  0.7308  0.8752  0.2019
O  0.7308  0.1248  0.2981
O  0.7692  0.3752  0.2019
O  0.7692  0.6248  0.2981
O  0.8013  0.3013  0.0000
O  0.8013  0.6987  0.5000
O  0.8587  0.4261  0.6168
O  0.8587  0.5739  0.8832
O  0.8752  0.2692  0.7981
O  0.8752  0.7308  0.7019
O  0.9261  0.3587  0.3832
O  0.9261  0.6413  0.1168
O  0.0739  0.3587  0.1168
O  0.0739  0.6413  0.3832
O  0.1248  0.2692  0.7019
O  0.1248  0.7308  0.7981
O  0.1413  0.4261  0.8832
O  0.1413  0.5739  0.6168
O  0.1987  0.3013  0.5000
O  0.1987  0.6987  0.0000
O  0.2308  0.3752  0.2981
O  0.2308  0.6248  0.2019

=====

3.
First-principles (PBE-GGA) data for a geometry-optimized ZrTe3O8 structure, as listed in the Materials Project.

Cell: 10.0414 10.0414 10.0414 Å, 109.47 109.47 109.47°
Atoms (fractional coordinates):
Zr  0.5000  0.0000  0.0000
Zr  0.0000  0.0000  0.5000
Zr  0.0000  0.5000  0.0000
Zr  0.5000  0.5000  0.5000
Te  0.5516  0.2500  0.8016
Te  0.6984  0.9484  0.7500
Te  0.2500  0.8016  0.5516
Te  0.8016  0.5516  0.2500
Te  0.7500  0.6984  0.9484
Te  0.9484  0.7500  0.6984
Te  0.4484  0.7500  0.1984
Te  0.3016  0.0516  0.2500
Te  0.7500  0.1984  0.4484
Te  0.1984  0.4484  0.7500
Te  0.2500  0.3016  0.0516
Te  0.0516  0.2500  0.3016
O  0.5454  0.2053  0.9690
O  0.7637  0.2947  0.8401
O  0.9546  0.9236  0.6599
O  0.5764  0.5310  0.7363
O  0.5310  0.7363  0.5764
O  0.9690  0.5454  0.2053
O  0.2947  0.8401  0.7637
O  0.6599  0.9546  0.9236
O  0.2053  0.9690  0.5454
O  0.8401  0.7637  0.2947
O  0.9236  0.6599  0.9546
O  0.7363  0.5764  0.5310
O  0.4546  0.7947  0.0310
O  0.2363  0.7053  0.1599
O  0.0454  0.0764  0.3401
O  0.4236  0.4690  0.2637
O  0.1690  0.1690  0.1690
O  0.3310  0.5000  0.0000
O  0.0000  0.3310  0.5000
O  0.5000  0.0000  0.3310
O  0.8310  0.8310  0.8310
O  0.6690  0.5000  0.0000
O  0.0000  0.6690  0.5000
O  0.5000  0.0000  0.6690
O  0.2637  0.4236  0.4690
O  0.0764  0.3401  0.0454
O  0.1599  0.2363  0.7053
O  0.7947  0.0310  0.4546
O  0.3401  0.0454  0.0764
O  0.7053  0.1599  0.2363
O  0.0310  0.4546  0.7947
O  0.4690  0.2637  0.4236

=====

4.
First-principles (PBE-GGA) data for a geometry-optimized Th3O structure, as listed in the Materials Project.

Properties
Its total magnetization is 0.00 μB per cell.

Cell: 5.9929 5.9929 5.9929 Å, 135.85 135.85 64.22°
Atoms (fractional coordinates):
Th  0.7500  0.2500  0.5000
Th  0.2500  0.7500  0.5000
Th  0.5000  0.5000  0.0000
O  0.0000  0.0000  0.0000

=====

Sequential total DFT energy (no corrections) output: -5.290 -5.166 -6.425 -6.677 eV per atom
Sequential energy of formation output: -1.515 -1.560 -2.086 -0.051 eV/atom
Sequential V output: 597.4 1003.7 779.4 103.0 Å³/cell